La2P4O13: relaxed, PBE-GGA.

Results
- Electronic total energy: -585.87 eV/cell
- Excess energy over the best structure of this formula in the dataset: 0.69 kcal/mol of atoms
- Density: 3.11 g cm⁻³

Cell: 9.221 10.172 14.481 Å, 90.00 106.39 90.00°
Space group P2_1/c (No. 14)
Unique sites:
La1 0.222 0.001 0.006
La2 0.278 0.006 0.485
P1 0.045 0.722 0.101
P2 0.272 0.734 0.311
P3 0.397 0.246 0.189
P4 0.473 0.224 0.903
O1 0.024 0.634 0.563
O2 0.104 0.161 0.395
O3 0.127 0.636 0.046
O4 0.147 0.729 0.211
O5 0.240 0.623 0.372
O6 0.276 0.631 0.852
O7 0.299 0.131 0.147
O8 0.370 0.225 0.791
O9 0.371 0.130 0.630
O10 0.377 0.662 0.597
O11 0.383 0.143 0.956
O12 0.427 0.700 0.286
O13 0.487 0.131 0.437


LaTiPS2O12: relaxed, PBE-GGA.

Results
- Electronic total energy: -1478.61 eV/cell
- Density: 2.87 g cm⁻³

Cell: 15.981 9.150 22.523 Å, 90.00 90.76 90.00°
Space group Cc (No. 9)
Unique sites:
La1 0.000 0.002 0.000
La2 0.173 0.495 0.167
La3 0.340 0.006 0.333
Ti1 0.001 0.023 0.729
Ti2 0.169 0.497 0.395
Ti3 0.334 0.006 0.561
P1 0.047 0.338 0.788
P2 0.313 0.275 0.456
P3 0.377 0.323 0.121
S1 0.145 0.216 0.289
S2 0.157 0.108 0.622
S3 0.209 0.175 0.954
S4 0.325 0.396 0.790
S5 0.482 0.219 0.621
S6 0.491 0.107 0.955
O1 0.004 0.201 0.067
O2 0.017 0.241 0.466
O3 0.044 0.165 0.779
O4 0.045 0.396 0.132
O5 0.064 0.137 0.280
O6 0.072 0.478 0.446
O7 0.081 0.404 0.732
O8 0.106 0.372 0.843
O9 0.107 0.091 0.567
O10 0.114 0.046 0.674
O11 0.122 0.130 0.965
O12 0.136 0.319 0.341
O13 0.166 0.299 0.236
O14 0.180 0.262 0.630
O15 0.210 0.340 0.947
O16 0.211 0.108 0.301
O17 0.230 0.363 0.443
O18 0.239 0.023 0.614
O19 0.241 0.108 0.901
O20 0.264 0.142 0.007
O21 0.275 0.406 0.735
O22 0.283 0.463 0.841
O23 0.289 0.371 0.136
O24 0.302 0.165 0.509
O25 0.334 0.188 0.401
O26 0.349 0.243 0.800
O27 0.375 0.154 0.109
O28 0.380 0.388 0.470
O29 0.399 0.141 0.611
O30 0.407 0.480 0.780
O31 0.414 0.400 0.068
O32 0.438 0.359 0.177
O33 0.440 0.100 0.901
O34 0.448 0.041 0.007
O35 0.457 0.116 0.300
O36 0.472 0.317 0.673


Q: Which of these has the highest electronic total energy?
A: La2P4O13